Here is Pr5Ge3 after structural relaxation from Materials Project. Energies are from GGA-PBE.

Geometry as POSCAR:
```
Pr5Ge3
1.0
8.925 0.000 0.000
-4.463 7.730 0.000
0.000 0.000 6.804
Pr Ge
10 6
Cartesian
-1.097 1.900 1.701
-3.366 5.830 5.103
2.194 0.000 1.701
1.097 1.900 5.103
0.000 5.153 0.000
0.000 5.153 3.402
4.463 2.577 0.000
4.463 2.577 3.402
6.732 0.000 5.103
3.366 5.830 1.701
-1.751 3.033 5.103
-2.711 4.696 1.701
3.503 0.000 5.103
1.751 3.033 1.701
5.423 0.000 1.701
2.711 4.696 5.103
```

Values from the calculation:
Its volume is 469 Å³ per cell. For the total energy, the calculation gives -5.40 eV/atom.

Here is Mg2Bi3O8 after structural relaxation from Materials Project. Energies are from GGA-PBE.

Geometry as POSCAR:
```
Mg2Bi3O8
1.0
5.729 -3.333 0.000
5.729 3.333 0.000
-2.297 0.000 5.132
Mg Bi O
2 3 8
Cartesian
2.109 0.000 0.740
7.051 0.000 4.392
4.580 1.784 2.566
5.729 0.000 0.000
4.580 -1.784 2.566
0.345 0.000 2.084
4.073 1.638 0.456
5.087 1.638 4.676
3.168 0.000 2.702
5.992 0.000 2.430
4.073 -1.638 0.456
5.087 -1.638 4.676
8.816 0.000 3.048
```

Values from the calculation:
Its volume is 196 Å³ per cell. The total magnetization comes out at 0.00 μB per formula unit. For the total energy, the calculation gives -5.52 eV/atom.

Here is Mn2RuC6N6 after structural relaxation from Materials Project. Energies are from GGA-PBE.

Geometry as POSCAR:
```
Mn2RuC6N6
1.0
6.080 0.000 0.000
-3.040 5.265 0.000
0.000 0.000 6.779
Mn Ru C N
2 1 6 6
Cartesian
0.000 3.510 0.000
3.040 1.755 0.000
0.000 0.000 3.390
-0.774 1.341 4.664
-2.266 3.924 2.115
1.548 0.000 4.664
0.774 1.341 2.115
4.531 0.000 2.115
2.266 3.924 4.664
-1.168 2.023 5.552
-1.872 3.242 1.228
2.336 0.000 5.552
1.168 2.023 1.228
3.744 0.000 1.228
1.872 3.242 5.552
```

Values from the calculation:
Its volume is 217 Å³ per cell. The total magnetization comes out at 10.00 μB per formula unit. For the total energy, the calculation gives -8.70 eV/atom.

Here is Rh3Se after structural relaxation from Materials Project. Energies are from GGA-PBE.

Geometry as POSCAR:
```
Rh3Se
1.0
5.600 0.000 0.000
-2.800 4.850 0.000
0.000 0.000 4.449
Rh Se
6 2
Cartesian
0.000 1.597 1.112
-1.417 4.051 1.112
1.383 0.799 3.337
1.417 4.051 1.112
4.217 0.799 3.337
2.800 3.253 3.337
0.000 3.233 3.337
2.800 1.617 1.112
```

Values from the calculation:
Its volume is 121 Å³ per cell. The total magnetization comes out at 0.00 μB per formula unit. For the total energy, the calculation gives -6.22 eV/atom.

Here is ZnSb2Xe6F24 after structural relaxation from Materials Project. Energies are from GGA-PBE.

Geometry as POSCAR:
```
ZnSb2Xe6F24
1.0
5.178 2.989 7.682
-5.178 2.989 7.682
0.000 -5.979 7.682
Zn Sb Xe F
1 2 6 24
Cartesian
0.000 0.000 0.000
0.000 0.000 5.823
0.000 0.000 17.223
-0.414 -2.834 9.622
-2.661 -1.059 13.424
-2.247 1.775 9.622
2.247 -1.775 13.424
2.661 1.059 9.622
0.414 2.834 13.424
-4.251 1.572 8.829
-0.171 -1.564 4.717
-3.487 -2.895 14.217
-1.449 -0.583 6.955
-1.269 0.930 4.717
0.764 -4.467 8.829
-1.478 -1.282 10.373
1.229 -0.963 6.955
1.440 0.633 4.717
-1.849 0.639 12.673
0.220 1.546 6.955
0.372 -1.921 12.673
-0.372 1.921 10.373
-0.220 -1.546 16.091
1.849 -0.639 10.373
-1.440 -0.633 18.329
-1.229 0.963 16.091
1.478 1.282 12.673
-0.764 4.467 14.217
1.269 -0.930 18.329
1.449 0.583 16.091
3.487 2.895 8.829
0.171 1.564 18.329
4.251 -1.572 14.217
```

Values from the calculation:
Its volume is 713 Å³ per cell. The total magnetization comes out at 0.00 μB per formula unit. For the total energy, the calculation gives -3.00 eV/atom.

Here is InPd3 after structural relaxation from Materials Project. Energies are from GGA-PBE.

Geometry as POSCAR:
```
InPd3
1.0
2.619 -1.505 0.000
2.619 1.505 0.000
-1.730 0.000 8.671
In Pd
1 3
Cartesian
0.000 0.000 0.000
0.009 0.000 6.543
1.755 0.000 4.336
3.500 0.000 2.128
```

Values from the calculation:
Its volume is 68 Å³ per cell. The total magnetization comes out at 0.00 μB per formula unit. For the total energy, the calculation gives -4.72 eV/atom.

Ordered energy relative to the elements results: -680 -1751 20 59 -1647 -146; unit meV per atom.